#i
Computed, not measured: an optimized crystal structure of ZnSnGe2O6 at the PBE level of DFT.

abc: 10.8479 9.4890 5.4687
angles: 90.00 97.89 90.00
Closest atoms and distances in Å follow each position.
Space group P2_1/c (No. 14)
Asymmetric unit:
Zn 0.1977 0.0202 0.3085  2 O 1.97-2.01
Sn 0.2552 0.1146 0.7584  3 O 2.10-2.24
Ge 0.0698 0.6785 0.2989  4 O 1.73-1.85
Ge 0.4921 0.6516 0.3507  4 O 1.77-1.88
O 0.0902 0.1932 0.2672  1 Ge 1.73
O 0.1264 0.6726 0.9958  2 Ge 1.83-1.85
O 0.1468 0.5364 0.4619  1 Ge 1.76
O 0.3343 0.1670 0.1355  1 Ge 1.88
O 0.4326 0.0209 0.7983  1 Ge 1.77
O 0.4333 0.7260 0.0508  2 Ge 1.77-1.82

Total moment = 0.000 μB/atom


#ii
Computed, not measured: an optimized crystal structure of ZnSnGe2O6 at the PBE level of DFT.

abc: 10.7502 10.3931 5.6769
angles: 90.00 108.68 90.00
Closest atoms and distances in Å follow each position.
Space group C2/c (No. 15)
Asymmetric unit:
Zn 0.0000 0.2450 0.2500  4 O 1.95-2.04
Sn 0.0000 0.1237 0.7500  4 O 2.24-2.37
Ge 0.1986 0.4132 0.7258  4 O 1.76-1.80
O 0.0952 0.2802 0.5985  1 Ge 1.78, 1 Zn 1.95
O 0.1338 0.1271 0.1736  1 Ge 1.76
O 0.1576 0.4613 0.9965  2 Ge 1.80

Total moment = 0.000 μB/atom


#ii comes first in stability; the runner-up is 90 meV per atom higher.


#i
Computed, not measured: an optimized crystal structure of Y2GeO5 at the PBE level of DFT.

abc: 9.3737 7.0311 6.8115
angles: 90.00 103.03 90.00
Closest atoms and distances in Å follow each position.
Space group P2_1/c (No. 14)
Asymmetric unit:
Y 0.0280 0.1244 0.2301  5 O 2.24-2.40
Y 0.3577 0.1390 0.0245  7 O 2.28-2.47
Ge 0.3009 0.5957 0.0149  4 O 1.74-1.82
O 0.1081 0.1174 0.9255  4 Y 2.24-2.36
O 0.1089 0.6403 0.9884  1 Ge 1.79
O 0.2814 0.0776 0.3131  1 Ge 1.82
O 0.3808 0.0689 0.7036  1 Ge 1.77
O 0.3960 0.6966 0.4925  1 Ge 1.74


#ii
Computed, not measured: an optimized crystal structure of Y2GeO5 at the PBE level of DFT.

abc: 11.7530 5.2041 7.3506
angles: 90.00 113.27 90.00
Closest atoms and distances in Å follow each position.
Space group C2/c (No. 15)
Asymmetric unit:
Y 0.1474 0.0252 0.2856  5 O 2.20-2.34
Ge 0.0000 0.5000 0.0000  6 O 1.86-2.01
O 0.0000 0.3439 0.2500  2 Ge 2.01
O 0.0795 0.2021 0.9746  1 Ge 1.86
O 0.1625 0.3319 0.6269  1 Ge 1.97, 1 Y 2.20

Total moment = 0.000 μB/atom


#iii
Computed, not measured: an optimized crystal structure of Y2GeO5 at the PBE level of DFT.

abc: 15.0189 6.9173 10.5842
angles: 90.00 121.87 90.00
Closest atoms and distances in Å follow each position.
Space group C2/c (No. 15)
Asymmetric unit:
Y 0.0353 0.2417 0.4657  6 O 2.22-2.43
Y 0.1378 0.1267 0.8377  6 O 2.23-2.35
Ge 0.1849 0.4054 0.3079  4 O 1.75-1.79
O 0.0166 0.0975 0.8969  4 Y 2.22-2.43
O 0.0839 0.4929 0.1329  1 Ge 1.77
O 0.1168 0.2030 0.3239  1 Ge 1.79
O 0.1961 0.1551 0.6761  1 Ge 1.75
O 0.2049 0.4244 0.9446  1 Ge 1.76


#iii comes first in stability; the runner-up is 13 meV per atom higher.


#i
Computed, not measured: an optimized crystal structure of ZnGeP2 at the PBE level of DFT.

abc: 3.8469 3.8469 5.5160
angles: 90.00 90.00 90.00
Closest atoms and distances in Å follow each position.
Space group P-4m2 (No. 115)
Asymmetric unit:
Zn 0.0000 0.0000 0.0000  4 P 2.35
Ge 0.5000 0.5000 0.5000  4 P 2.38
P 0.0000 0.5000 0.2462  2 Zn 2.35, 2 Ge 2.38

Total moment = 0.000 μB/atom


#ii
Computed, not measured: an optimized crystal structure of ZnGeP2 at the PBE level of DFT.

abc: 5.5041 5.5041 10.8434
angles: 90.00 90.00 90.00
Closest atoms and distances in Å follow each position.
Space group I-42d (No. 122)
Asymmetric unit:
Zn 0.0000 0.0000 0.0000  4 P 2.38
Ge 0.0000 0.0000 0.5000  4 P 2.36
P 0.2459 0.2500 0.6250  2 Ge 2.36, 2 Zn 2.38

Maximum piezoelectric response = 0.03 C/m2


#ii comes first in stability; the runner-up is 28 meV per atom higher.